No. 1
Entry from Materials Project: an optimized crystal structure of LiPd (PBE).

a b c (Å): 3.002 3.002 3.002
angles (deg): 90.00 90.00 90.00
Element x y z (fractional)
Li (0.000, 0.000, 0.000)
Pd (0.500, 0.500, 0.500)

Formation energy from the elements   -421 meV per atom

***

No. 2
Entry from Materials Project: an optimized crystal structure of LiPd (PBE).

a b c (Å): 2.800 2.800 4.195
angles (deg): 90.00 90.00 120.00
Element x y z (fractional)
Li (0.000, 0.000, 0.000)
Pd (0.333, 0.667, 0.500)

Formation energy from the elements   -438 meV per atom

***

No. 3
Entry from Materials Project: an optimized crystal structure of Li15Pd4 (PBE).

a b c (Å): 9.200 9.200 9.200
angles (deg): 109.47 109.47 109.47
Element x y z (fractional)
Li (0.039, 0.620, 0.344)
Li (0.081, 0.304, 0.961)
Li (0.120, 0.539, 0.844)
Li (0.125, 0.875, 0.250)
Li (0.156, 0.777, 0.696)
Li (0.196, 0.276, 0.656)
Li (0.224, 0.419, 0.380)
Li (0.250, 0.125, 0.875)
Li (0.276, 0.656, 0.196)
Li (0.304, 0.961, 0.081)
Li (0.344, 0.039, 0.620)
Li (0.375, 0.625, 0.750)
Li (0.380, 0.224, 0.419)
Li (0.419, 0.380, 0.224)
Li (0.461, 0.804, 0.581)
Li (0.539, 0.844, 0.120)
Li (0.581, 0.461, 0.804)
Li (0.620, 0.344, 0.039)
Li (0.625, 0.750, 0.375)
Li (0.656, 0.196, 0.277)
Li (0.696, 0.156, 0.776)
Li (0.724, 0.880, 0.919)
Li (0.750, 0.375, 0.625)
Li (0.776, 0.696, 0.156)
Li (0.804, 0.581, 0.461)
Li (0.844, 0.120, 0.539)
Li (0.875, 0.250, 0.125)
Li (0.880, 0.919, 0.724)
Li (0.919, 0.724, 0.880)
Li (0.961, 0.081, 0.304)
Pd (0.000, 0.415, 0.500)
Pd (0.000, 0.915, 0.500)
Pd (0.085, 0.085, 0.085)
Pd (0.415, 0.500, 0.000)
Pd (0.500, 0.000, 0.415)
Pd (0.500, 0.000, 0.915)
Pd (0.585, 0.585, 0.585)
Pd (0.915, 0.500, 0.000)

Formation energy from the elements   -270 meV per atom

***

No. 4
Entry from Materials Project: an optimized crystal structure of LiPd7 (PBE).

a b c (Å): 5.549 5.549 5.549
angles (deg): 60.00 60.00 60.00
Element x y z (fractional)
Li (0.000, 0.000, 0.000)
Pd (0.000, 0.000, 0.500)
Pd (0.000, 0.500, 0.000)
Pd (0.000, 0.500, 0.500)
Pd (0.500, 0.000, 0.000)
Pd (0.500, 0.000, 0.500)
Pd (0.500, 0.500, 0.000)
Pd (0.500, 0.500, 0.500)

Formation energy from the elements   -182 meV per atom

***

No. 5
Entry from Materials Project: an optimized crystal structure of Li2SbPd (PBE).

a b c (Å): 4.518 4.518 4.518
angles (deg): 60.00 60.00 60.00
Element x y z (fractional)
Li (0.000, 0.000, 0.000)
Li (0.250, 0.250, 0.250)
Sb (0.750, 0.750, 0.750)
Pd (0.500, 0.500, 0.500)

Formation energy from the elements   -661 meV per atom

***

No. 6
Entry from Materials Project: an optimized crystal structure of LiScPd2 (PBE).

a b c (Å): 4.503 4.503 4.503
angles (deg): 60.00 60.00 60.00
Element x y z (fractional)
Li (0.000, 0.000, 0.000)
Sc (0.500, 0.500, 0.500)
Pd (0.250, 0.250, 0.250)
Pd (0.750, 0.750, 0.750)

Formation energy from the elements   -733 meV per atom

***

No. 7
Entry from Materials Project: an optimized crystal structure of LiSi3Pd (PBE).

a b c (Å): 7.201 7.201 7.201
angles (deg): 152.55 152.55 39.21
Element x y z (fractional)
Li (0.000, 0.000, 0.000)
Si (0.159, 0.659, 0.500)
Si (0.659, 0.159, 0.500)
Si (0.805, 0.805, 0.000)
Pd (0.376, 0.376, 0.000)

Formation energy from the elements   66 meV per atom
Total magnetic moment   0.00 μB/f.u.

***

No. 8
Entry from Materials Project: an optimized crystal structure of Li13Si10Pd14 (PBE).

a b c (Å): 12.818 18.733 4.404
angles (deg): 90.00 90.00 90.00
Element x y z (fractional)
Li (0.000, 0.000, 0.000)
Li (0.007, 0.136, 0.000)
Li (0.011, 0.415, 0.000)
Li (0.021, 0.727, 0.000)
Li (0.205, 0.353, 0.000)
Li (0.214, 0.062, 0.000)
Li (0.218, 0.776, 0.000)
Li (0.282, 0.276, 0.500)
Li (0.286, 0.562, 0.500)
Li (0.295, 0.853, 0.500)
Li (0.479, 0.227, 0.500)
Li (0.489, 0.915, 0.500)
Li (0.493, 0.636, 0.500)
Li (0.500, 0.500, 0.500)
Li (0.507, 0.364, 0.500)
Li (0.511, 0.085, 0.500)
Li (0.521, 0.773, 0.500)
Li (0.705, 0.147, 0.500)
Li (0.714, 0.438, 0.500)
Li (0.718, 0.724, 0.500)
Li (0.782, 0.224, 0.000)
Li (0.786, 0.938, 0.000)
Li (0.795, 0.647, 0.000)
Li (0.979, 0.273, 0.000)
Li (0.989, 0.585, 0.000)
Li (0.993, 0.864, 0.000)
Si (0.115, 0.189, 0.500)
Si (0.117, 0.934, 0.500)
Si (0.127, 0.436, 0.500)
Si (0.132, 0.681, 0.500)
Si (0.195, 0.495, 0.000)
Si (0.305, 0.995, 0.500)
Si (0.368, 0.181, 0.000)
Si (0.373, 0.936, 0.000)
Si (0.383, 0.434, 0.000)
Si (0.385, 0.689, 0.000)
Si (0.615, 0.311, 0.000)
Si (0.617, 0.566, 0.000)
Si (0.627, 0.064, 0.000)
Si (0.632, 0.819, 0.000)
Si (0.695, 0.005, 0.500)
Si (0.805, 0.505, 0.000)
Si (0.868, 0.319, 0.500)
Si (0.873, 0.564, 0.500)
Si (0.883, 0.066, 0.500)
Si (0.885, 0.811, 0.500)
Pd (0.063, 0.315, 0.500)
Pd (0.071, 0.560, 0.500)
Pd (0.073, 0.062, 0.500)
Pd (0.078, 0.807, 0.500)
Pd (0.187, 0.914, 0.000)
Pd (0.188, 0.212, 0.000)
Pd (0.209, 0.627, 0.000)
Pd (0.291, 0.127, 0.500)
Pd (0.312, 0.712, 0.500)
Pd (0.313, 0.414, 0.500)
Pd (0.422, 0.307, 0.000)
Pd (0.427, 0.562, 0.000)
Pd (0.429, 0.060, 0.000)
Pd (0.437, 0.815, 0.000)
Pd (0.563, 0.185, 0.000)
Pd (0.571, 0.940, 0.000)
Pd (0.573, 0.438, 0.000)
Pd (0.578, 0.693, 0.000)
Pd (0.687, 0.586, 0.500)
Pd (0.688, 0.288, 0.500)
Pd (0.709, 0.873, 0.500)
Pd (0.791, 0.373, 0.000)
Pd (0.812, 0.788, 0.000)
Pd (0.813, 0.086, 0.000)
Pd (0.922, 0.193, 0.500)
Pd (0.927, 0.938, 0.500)
Pd (0.929, 0.440, 0.500)
Pd (0.937, 0.685, 0.500)

Formation energy from the elements   -602 meV per atom

***

No. 9
Entry from Materials Project: an optimized crystal structure of LiSn6Pd2 (PBE).

a b c (Å): 6.719 6.719 8.871
angles (deg): 90.00 90.00 90.00
Element x y z (fractional)
Li (0.000, 0.000, 0.000)
Li (0.500, 0.500, 0.000)
Sn (0.159, 0.341, 0.179)
Sn (0.159, 0.341, 0.821)
Sn (0.164, 0.664, 0.500)
Sn (0.336, 0.164, 0.500)
Sn (0.341, 0.841, 0.179)
Sn (0.341, 0.841, 0.821)
Sn (0.659, 0.159, 0.179)
Sn (0.659, 0.159, 0.821)
Sn (0.664, 0.836, 0.500)
Sn (0.836, 0.336, 0.500)
Sn (0.841, 0.659, 0.179)
Sn (0.841, 0.659, 0.821)
Pd (0.000, 0.000, 0.321)
Pd (0.000, 0.000, 0.679)
Pd (0.500, 0.500, 0.321)
Pd (0.500, 0.500, 0.679)

Formation energy from the elements   -337 meV per atom

***

No. 10
Entry from Materials Project: an optimized crystal structure of Li3Sn11Pd4 (PBE).

a b c (Å): 8.724 6.694 6.694
angles (deg): 90.88 90.00 90.00
Element x y z (fractional)
Li (0.000, 0.000, 0.000)
Li (0.500, 0.169, 0.669)
Li (0.500, 0.669, 0.169)
Sn (0.000, 0.336, 0.336)
Sn (0.000, 0.503, 0.838)
Sn (0.000, 0.838, 0.503)
Sn (0.317, 0.831, 0.831)
Sn (0.321, 0.011, 0.325)
Sn (0.321, 0.325, 0.011)
Sn (0.323, 0.511, 0.511)
Sn (0.677, 0.511, 0.511)
Sn (0.679, 0.011, 0.325)
Sn (0.679, 0.325, 0.011)
Sn (0.683, 0.831, 0.831)
Pd (0.183, 0.171, 0.669)
Pd (0.183, 0.669, 0.171)
Pd (0.817, 0.171, 0.669)
Pd (0.817, 0.669, 0.171)

Formation energy from the elements   -367 meV per atom

***

No. 11
Entry from Materials Project: an optimized crystal structure of LiTlPd2 (PBE).

a b c (Å): 4.815 4.815 4.815
angles (deg): 128.33 128.33 76.09
Element x y z (fractional)
Li (0.000, 0.000, 0.000)
Tl (0.500, 0.500, 0.000)
Pd (0.250, 0.750, 0.500)
Pd (0.750, 0.250, 0.500)

Formation energy from the elements   -405 meV per atom

***

No. 12
Entry from Materials Project: an optimized crystal structure of Li2TlPd (PBE).

a b c (Å): 4.515 4.515 4.515
angles (deg): 60.00 60.00 60.00
Element x y z (fractional)
Li (0.250, 0.250, 0.250)
Li (0.750, 0.750, 0.750)
Tl (0.000, 0.000, 0.000)
Pd (0.500, 0.500, 0.500)

Formation energy from the elements   -359 meV per atom

***

No. 13
Entry from Materials Project: an optimized crystal structure of LiTmPd2 (PBE).

a b c (Å): 4.654 4.654 4.654
angles (deg): 60.00 60.00 60.00
Element x y z (fractional)
Li (0.000, 0.000, 0.000)
Tm (0.500, 0.500, 0.500)
Pd (0.250, 0.250, 0.250)
Pd (0.750, 0.750, 0.750)

Formation energy from the elements   -737 meV per atom

***

No. 14
Entry from Materials Project: an optimized crystal structure of LiZn2Pd (PBE).

a b c (Å): 4.328 4.328 4.328
angles (deg): 60.00 60.00 60.00
Element x y z (fractional)
Li (0.000, 0.000, 0.000)
Zn (0.250, 0.250, 0.250)
Zn (0.750, 0.750, 0.750)
Pd (0.500, 0.500, 0.500)

Formation energy from the elements   -466 meV per atom

***

No. 15
Entry from Materials Project: an optimized crystal structure of LiZrPd2 (PBE).

a b c (Å): 4.559 4.559 4.559
angles (deg): 60.00 60.00 60.00
Element x y z (fractional)
Li (0.000, 0.000, 0.000)
Zr (0.500, 0.500, 0.500)
Pd (0.250, 0.250, 0.250)
Pd (0.750, 0.750, 0.750)

Formation energy from the elements   -580 meV per atom

***

No. 16
Entry from Materials Project: an optimized crystal structure of LiPm2Pt (PBE).

a b c (Å): 5.120 5.120 5.120
angles (deg): 60.00 60.00 60.00
Element x y z (fractional)
Li (0.000, 0.000, 0.000)
Pm (0.250, 0.250, 0.250)
Pm (0.750, 0.750, 0.750)
Pt (0.500, 0.500, 0.500)

Formation energy from the elements   -546 meV per atom

***

No. 17
Entry from Materials Project: an optimized crystal structure of LiPm2Ru (PBE).

a b c (Å): 5.017 5.017 5.017
angles (deg): 60.00 60.00 60.00
Element x y z (fractional)
Li (0.000, 0.000, 0.000)
Pm (0.250, 0.250, 0.250)
Pm (0.750, 0.750, 0.750)
Ru (0.500, 0.500, 0.500)

Formation energy from the elements   -174 meV per atom

***

No. 18
Entry from Materials Project: an optimized crystal structure of Li2PmSn (PBE).

a b c (Å): 4.873 4.873 4.873
angles (deg): 60.00 60.00 60.00
Element x y z (fractional)
Li (0.250, 0.250, 0.250)
Li (0.750, 0.750, 0.750)
Pm (0.000, 0.000, 0.000)
Sn (0.500, 0.500, 0.500)

Formation energy from the elements   -460 meV per atom

***

No. 19
Entry from Materials Project: an optimized crystal structure of LiPm2Sn (PBE).

a b c (Å): 5.363 5.363 5.363
angles (deg): 60.00 60.00 60.00
Element x y z (fractional)
Li (0.000, 0.000, 0.000)
Pm (0.250, 0.250, 0.250)
Pm (0.750, 0.750, 0.750)
Sn (0.500, 0.500, 0.500)

Formation energy from the elements   -448 meV per atom

***

No. 20
Entry from Materials Project: an optimized crystal structure of Li2PmTl (PBE).

a b c (Å): 4.939 4.939 4.939
angles (deg): 60.00 60.00 60.00
Element x y z (fractional)
Li (0.250, 0.250, 0.250)
Li (0.750, 0.750, 0.750)
Pm (0.000, 0.000, 0.000)
Tl (0.500, 0.500, 0.500)

Formation energy from the elements   -258 meV per atom

***

No. 21
Entry from Materials Project: an optimized crystal structure of LiPmTl2 (PBE).

a b c (Å): 5.280 5.280 5.280
angles (deg): 60.00 60.00 60.00
Element x y z (fractional)
Li (0.000, 0.000, 0.000)
Pm (0.500, 0.500, 0.500)
Tl (0.250, 0.250, 0.250)
Tl (0.750, 0.750, 0.750)

Formation energy from the elements   -339 meV per atom

***

No. 22
Entry from Materials Project: an optimized crystal structure of LiPmZn2 (PBE).

a b c (Å): 4.866 4.866 4.866
angles (deg): 60.00 60.00 60.00
Element x y z (fractional)
Li (0.000, 0.000, 0.000)
Pm (0.500, 0.500, 0.500)
Zn (0.250, 0.250, 0.250)
Zn (0.750, 0.750, 0.750)

Formation energy from the elements   -268 meV per atom

***

no.,total energy (eV per atom),theoretical density (Mg/m³)
1,-3.965,6.95
2,-3.982,6.61
3,-2.867,2.94
4,-4.953,10.34
5,-3.943,6.17
6,-5.383,6.81
7,-4.607,4.14
8,-4.699,5.84
9,-4.373,7.73
10,-4.286,7.44
11,-4.063,10.54
12,-3.199,8.28
13,-4.923,9.06
14,-2.868,7.07
15,-5.784,7.71
16,-4.916,8.61
17,-5.345,7.40
18,-3.604,5.63
19,-4.303,6.33
20,-2.991,7.08
21,-3.186,8.94
22,-2.563,5.76